[1]
Density functional theory data (PBE-GGA) for Mg14SnBiO16 after structural relaxation. Values from VASP.

Energy above the most stable polymorph in this dataset ... 35 kJ/mol of formula units
Space group ... Pmmm
Theoretical density ... 4.3 g cm⁻³
Calculated volume ... 356.7 Å³ per cell

Geometry as Quantum ESPRESSO input:
```
&SYSTEM
  ibrav = 0, nat = 32, ntyp = 4
/
ATOMIC_SPECIES
Mg 24.30 Mg.upf
Sn 118.71 Sn.upf
Bi 208.98 Bi.upf
O 16.00 O.upf
CELL_PARAMETERS angstrom
4.504 0.000 0.000
0.000 8.826 0.000
0.000 0.000 8.973
ATOMIC_POSITIONS crystal
Mg 0.000 0.000 0.000
Mg 0.000 0.000 0.500
Mg 0.000 0.237 0.247
Mg 0.000 0.237 0.753
Mg 0.000 0.763 0.247
Mg 0.000 0.763 0.753
Mg 0.500 0.000 0.249
Mg 0.500 0.000 0.751
Mg 0.500 0.236 0.500
Mg 0.500 0.239 0.000
Mg 0.500 0.500 0.245
Mg 0.500 0.500 0.755
Mg 0.500 0.761 0.000
Mg 0.500 0.764 0.500
Sn 0.000 0.500 0.000
Bi 0.000 0.500 0.500
O 0.000 0.000 0.250
O 0.000 0.000 0.750
O 0.000 0.227 0.000
O 0.000 0.228 0.500
O 0.000 0.500 0.246
O 0.000 0.500 0.754
O 0.000 0.772 0.500
O 0.000 0.773 0.000
O 0.500 0.000 0.000
O 0.500 0.000 0.500
O 0.500 0.251 0.249
O 0.500 0.251 0.751
O 0.500 0.500 0.000
O 0.500 0.500 0.500
O 0.500 0.749 0.249
O 0.500 0.749 0.751
```

[2]
Density functional theory data (PBE-GGA) for Mg30SnBiO32 after structural relaxation. Values from VASP.

Energy above the most stable polymorph in this dataset ... 45 kJ/mol of formula units
Space group ... P4/mmm
Theoretical density ... 3.9 g cm⁻³
Calculated volume ... 664.0 Å³ per cell

Geometry as Quantum ESPRESSO input:
```
&SYSTEM
  ibrav = 0, nat = 64, ntyp = 4
/
ATOMIC_SPECIES
Mg 24.30 Mg.upf
Sn 118.71 Sn.upf
Bi 208.98 Bi.upf
O 16.00 O.upf
CELL_PARAMETERS angstrom
8.701 0.000 0.000
0.000 8.701 0.000
0.000 0.000 8.772
ATOMIC_POSITIONS crystal
Mg 0.000 0.000 0.000
Mg 0.000 0.000 0.500
Mg 0.000 0.248 0.250
Mg 0.000 0.248 0.750
Mg 0.000 0.500 0.000
Mg 0.000 0.500 0.500
Mg 0.000 0.752 0.250
Mg 0.000 0.752 0.750
Mg 0.238 0.500 0.247
Mg 0.238 0.500 0.753
Mg 0.243 0.243 0.500
Mg 0.243 0.757 0.500
Mg 0.245 0.245 0.000
Mg 0.245 0.755 0.000
Mg 0.248 0.000 0.250
Mg 0.248 0.000 0.750
Mg 0.500 0.000 0.000
Mg 0.500 0.000 0.500
Mg 0.500 0.238 0.247
Mg 0.500 0.238 0.753
Mg 0.500 0.762 0.247
Mg 0.500 0.762 0.753
Mg 0.752 0.000 0.250
Mg 0.752 0.000 0.750
Mg 0.755 0.245 0.000
Mg 0.755 0.755 0.000
Mg 0.757 0.243 0.500
Mg 0.757 0.757 0.500
Mg 0.762 0.500 0.247
Mg 0.762 0.500 0.753
Sn 0.500 0.500 0.000
Bi 0.500 0.500 0.500
O 0.000 0.000 0.250
O 0.000 0.000 0.750
O 0.000 0.246 0.000
O 0.000 0.246 0.500
O 0.000 0.500 0.250
O 0.000 0.500 0.750
O 0.000 0.754 0.000
O 0.000 0.754 0.500
O 0.228 0.500 0.000
O 0.229 0.500 0.500
O 0.246 0.000 0.000
O 0.246 0.000 0.500
O 0.251 0.251 0.250
O 0.251 0.251 0.750
O 0.251 0.749 0.250
O 0.251 0.749 0.750
O 0.500 0.000 0.250
O 0.500 0.000 0.750
O 0.500 0.228 0.000
O 0.500 0.229 0.500
O 0.500 0.500 0.247
O 0.500 0.500 0.753
O 0.500 0.771 0.500
O 0.500 0.772 0.000
O 0.749 0.251 0.250
O 0.749 0.251 0.750
O 0.749 0.749 0.250
O 0.749 0.749 0.750
O 0.754 0.000 0.000
O 0.754 0.000 0.500
O 0.771 0.500 0.500
O 0.772 0.500 0.000
```

[3]
Density functional theory data (PBE-GGA) for Mg14SnBiO16 after structural relaxation. Values from VASP.

Energy above the most stable polymorph in this dataset ... 0 kJ/mol of formula units
Space group ... P4/mmm
Theoretical density ... 4.3 g cm⁻³
Calculated volume ... 353.5 Å³ per cell

Geometry as Quantum ESPRESSO input:
```
&SYSTEM
  ibrav = 0, nat = 32, ntyp = 4
/
ATOMIC_SPECIES
Mg 24.30 Mg.upf
Sn 118.71 Sn.upf
Bi 208.98 Bi.upf
O 16.00 O.upf
CELL_PARAMETERS angstrom
8.831 0.000 0.000
0.000 8.831 0.000
0.000 0.000 4.532
ATOMIC_POSITIONS crystal
Mg 0.000 0.257 0.000
Mg 0.000 0.500 0.500
Mg 0.000 0.743 0.000
Mg 0.239 0.500 0.000
Mg 0.247 0.247 0.500
Mg 0.247 0.753 0.500
Mg 0.257 0.000 0.000
Mg 0.500 0.000 0.500
Mg 0.500 0.239 0.000
Mg 0.500 0.761 0.000
Mg 0.743 0.000 0.000
Mg 0.753 0.247 0.500
Mg 0.753 0.753 0.500
Mg 0.761 0.500 0.000
Sn 0.000 0.000 0.500
Bi 0.500 0.500 0.500
O 0.000 0.000 0.000
O 0.000 0.270 0.500
O 0.000 0.500 0.000
O 0.000 0.730 0.500
O 0.233 0.500 0.500
O 0.249 0.249 0.000
O 0.249 0.751 0.000
O 0.270 0.000 0.500
O 0.500 0.000 0.000
O 0.500 0.233 0.500
O 0.500 0.500 0.000
O 0.500 0.767 0.500
O 0.730 0.000 0.500
O 0.751 0.249 0.000
O 0.751 0.751 0.000
O 0.767 0.500 0.500
```

[4]
Density functional theory data (PBE-GGA) for Mg6SnBiO8 after structural relaxation. Values from VASP.

Energy above the most stable polymorph in this dataset ... 0 kJ/mol of formula units
Space group ... P4/mmm
Theoretical density ... 5.0 g cm⁻³
Calculated volume ... 198.5 Å³ per cell

Geometry as Quantum ESPRESSO input:
```
&SYSTEM
  ibrav = 0, nat = 16, ntyp = 4
/
ATOMIC_SPECIES
Mg 24.30 Mg.upf
Sn 118.71 Sn.upf
Bi 208.98 Bi.upf
O 16.00 O.upf
CELL_PARAMETERS angstrom
4.651 0.000 0.000
0.000 4.651 0.000
0.000 0.000 9.175
ATOMIC_POSITIONS crystal
Mg 0.000 0.000 0.000
Mg 0.000 0.500 0.223
Mg 0.000 0.500 0.777
Mg 0.500 0.000 0.223
Mg 0.500 0.000 0.777
Mg 0.500 0.500 0.000
Sn 0.000 0.000 0.500
Bi 0.500 0.500 0.500
O 0.000 0.000 0.223
O 0.000 0.000 0.777
O 0.000 0.500 0.000
O 0.000 0.500 0.500
O 0.500 0.000 0.000
O 0.500 0.000 0.500
O 0.500 0.500 0.223
O 0.500 0.500 0.777
```

[5]
Density functional theory data (PBE-GGA) for SrMg6BiO8 after structural relaxation. Values from VASP.

Energy above the most stable polymorph in this dataset ... 123 kJ/mol of formula units
Space group ... P4/mmm
Theoretical density ... 4.7 g cm⁻³
Calculated volume ... 202.5 Å³ per cell

Geometry as Quantum ESPRESSO input:
```
&SYSTEM
  ibrav = 0, nat = 16, ntyp = 4
/
ATOMIC_SPECIES
Sr 87.62 Sr.upf
Mg 24.30 Mg.upf
Bi 208.98 Bi.upf
O 16.00 O.upf
CELL_PARAMETERS angstrom
4.678 0.000 0.000
0.000 4.678 0.000
0.000 0.000 9.254
ATOMIC_POSITIONS crystal
Sr 0.000 0.000 0.000
Mg 0.000 0.500 0.245
Mg 0.000 0.500 0.755
Mg 0.500 0.000 0.245
Mg 0.500 0.000 0.755
Mg 0.500 0.500 0.000
Mg 0.500 0.500 0.500
Bi 0.000 0.000 0.500
O 0.000 0.000 0.252
O 0.000 0.000 0.748
O 0.000 0.500 0.000
O 0.000 0.500 0.500
O 0.500 0.000 0.000
O 0.500 0.000 0.500
O 0.500 0.500 0.252
O 0.500 0.500 0.748
```

[6]
Density functional theory data (PBE-GGA) for SrMg6BiO8 after structural relaxation. Values from VASP.

Energy above the most stable polymorph in this dataset ... 0 kJ/mol of formula units
Space group ... P4/mmm
Theoretical density ... 4.7 g cm⁻³
Calculated volume ... 203.1 Å³ per cell

Geometry as Quantum ESPRESSO input:
```
&SYSTEM
  ibrav = 0, nat = 16, ntyp = 4
/
ATOMIC_SPECIES
Sr 87.62 Sr.upf
Mg 24.30 Mg.upf
Bi 208.98 Bi.upf
O 16.00 O.upf
CELL_PARAMETERS angstrom
4.600 0.000 0.000
0.000 4.600 0.000
0.000 0.000 9.597
ATOMIC_POSITIONS crystal
Sr 0.000 0.000 0.000
Mg 0.000 0.000 0.500
Mg 0.000 0.500 0.287
Mg 0.000 0.500 0.713
Mg 0.500 0.000 0.287
Mg 0.500 0.000 0.713
Mg 0.500 0.500 0.500
Bi 0.500 0.500 0.000
O 0.000 0.000 0.279
O 0.000 0.000 0.721
O 0.000 0.500 0.000
O 0.000 0.500 0.500
O 0.500 0.000 0.000
O 0.500 0.000 0.500
O 0.500 0.500 0.290
O 0.500 0.500 0.710
```

[7]
Density functional theory data (PBE-GGA) for MgTaBiO5 after structural relaxation. Values from VASP.

Energy above the most stable polymorph in this dataset ... 0 kJ/mol of formula units
Space group ... P2_1/c
Theoretical density ... 6.6 g cm⁻³
Calculated volume ... 499.8 Å³ per cell

Geometry as Quantum ESPRESSO input:
```
&SYSTEM
  ibrav = 0, nat = 32, ntyp = 4
/
ATOMIC_SPECIES
Mg 24.30 Mg.upf
Ta 180.95 Ta.upf
Bi 208.98 Bi.upf
O 16.00 O.upf
CELL_PARAMETERS angstrom
5.424 0.000 0.000
0.000 12.002 0.000
-3.202 0.000 7.678
ATOMIC_POSITIONS crystal
Mg 0.047 0.077 0.171
Mg 0.047 0.423 0.671
Mg 0.953 0.577 0.329
Mg 0.953 0.923 0.829
Ta 0.316 0.645 0.031
Ta 0.316 0.855 0.531
Ta 0.684 0.145 0.469
Ta 0.684 0.355 0.969
Bi 0.447 0.094 0.834
Bi 0.447 0.406 0.334
Bi 0.553 0.594 0.666
Bi 0.553 0.906 0.166
O 0.178 0.710 0.482
O 0.178 0.790 0.982
O 0.197 0.561 0.181
O 0.197 0.939 0.681
O 0.258 0.027 0.014
O 0.258 0.473 0.514
O 0.271 0.566 0.825
O 0.271 0.934 0.325
O 0.329 0.176 0.350
O 0.329 0.324 0.850
O 0.671 0.676 0.150
O 0.671 0.824 0.650
O 0.729 0.066 0.675
O 0.729 0.434 0.175
O 0.742 0.527 0.486
O 0.742 0.973 0.986
O 0.803 0.061 0.319
O 0.803 0.439 0.819
O 0.822 0.210 0.018
O 0.822 0.290 0.518
```

[8]
Density functional theory data (PBE-GGA) for MgTaBiO5 after structural relaxation. Values from VASP.

Energy above the most stable polymorph in this dataset ... 5 kJ/mol of formula units
Space group ... Pbca
Theoretical density ... 7.4 g cm⁻³
Calculated volume ... 888.9 Å³ per cell

Geometry as Quantum ESPRESSO input:
```
&SYSTEM
  ibrav = 0, nat = 64, ntyp = 4
/
ATOMIC_SPECIES
Mg 24.30 Mg.upf
Ta 180.95 Ta.upf
Bi 208.98 Bi.upf
O 16.00 O.upf
CELL_PARAMETERS angstrom
5.255 0.000 0.000
0.000 16.210 0.000
0.000 0.000 10.434
ATOMIC_POSITIONS crystal
Mg 0.022 0.054 0.126
Mg 0.022 0.446 0.626
Mg 0.478 0.554 0.126
Mg 0.478 0.946 0.626
Mg 0.522 0.054 0.374
Mg 0.522 0.446 0.874
Mg 0.978 0.554 0.374
Mg 0.978 0.946 0.874
Ta 0.000 0.083 0.624
Ta 0.000 0.417 0.124
Ta 0.000 0.583 0.876
Ta 0.000 0.917 0.376
Ta 0.500 0.083 0.876
Ta 0.500 0.417 0.376
Ta 0.500 0.583 0.624
Ta 0.500 0.917 0.124
Bi 0.005 0.723 0.141
Bi 0.005 0.777 0.641
Bi 0.495 0.223 0.141
Bi 0.495 0.277 0.641
Bi 0.505 0.723 0.359
Bi 0.505 0.777 0.859
Bi 0.995 0.223 0.359
Bi 0.995 0.277 0.859
O 0.114 0.186 0.685
O 0.114 0.314 0.185
O 0.168 0.654 0.295
O 0.168 0.846 0.795
O 0.206 0.626 0.014
O 0.206 0.874 0.514
O 0.235 0.540 0.524
O 0.235 0.960 0.024
O 0.249 0.023 0.775
O 0.249 0.477 0.275
O 0.251 0.523 0.775
O 0.251 0.977 0.275
O 0.265 0.040 0.524
O 0.265 0.460 0.024
O 0.294 0.126 0.014
O 0.294 0.374 0.514
O 0.332 0.154 0.295
O 0.332 0.346 0.795
O 0.386 0.686 0.685
O 0.386 0.814 0.185
O 0.614 0.186 0.815
O 0.614 0.314 0.315
O 0.668 0.654 0.205
O 0.668 0.846 0.705
O 0.706 0.626 0.486
O 0.706 0.874 0.986
O 0.735 0.540 0.976
O 0.735 0.960 0.476
O 0.749 0.023 0.725
O 0.749 0.477 0.225
O 0.751 0.523 0.725
O 0.751 0.977 0.225
O 0.765 0.040 0.976
O 0.765 0.460 0.476
O 0.794 0.126 0.486
O 0.794 0.374 0.986
O 0.832 0.154 0.205
O 0.832 0.346 0.705
O 0.886 0.686 0.815
O 0.886 0.814 0.315
```

[9]
Density functional theory data (PBE-GGA) for YMg6BiO8 after structural relaxation. Values from VASP.

Energy above the most stable polymorph in this dataset ... 0 kJ/mol of formula units
Space group ... P4/mmm
Theoretical density ... 4.8 g cm⁻³
Calculated volume ... 199.4 Å³ per cell

Geometry as Quantum ESPRESSO input:
```
&SYSTEM
  ibrav = 0, nat = 16, ntyp = 4
/
ATOMIC_SPECIES
Y 88.91 Y.upf
Mg 24.30 Mg.upf
Bi 208.98 Bi.upf
O 16.00 O.upf
CELL_PARAMETERS angstrom
4.710 0.000 0.000
0.000 4.710 0.000
0.000 0.000 8.987
ATOMIC_POSITIONS crystal
Y 0.000 0.000 0.000
Mg 0.000 0.000 0.500
Mg 0.000 0.500 0.274
Mg 0.000 0.500 0.726
Mg 0.500 0.000 0.274
Mg 0.500 0.000 0.726
Mg 0.500 0.500 0.500
Bi 0.500 0.500 0.000
O 0.000 0.000 0.261
O 0.000 0.000 0.739
O 0.000 0.500 0.000
O 0.000 0.500 0.500
O 0.500 0.000 0.000
O 0.500 0.000 0.500
O 0.500 0.500 0.280
O 0.500 0.500 0.720
```

[10]
Density functional theory data (PBE-GGA) for YMg6BiO8 after structural relaxation. Values from VASP.

Energy above the most stable polymorph in this dataset ... 47 kJ/mol of formula units
Space group ... P4/mmm
Theoretical density ... 4.7 g cm⁻³
Calculated volume ... 200.1 Å³ per cell

Geometry as Quantum ESPRESSO input:
```
&SYSTEM
  ibrav = 0, nat = 16, ntyp = 4
/
ATOMIC_SPECIES
Y 88.91 Y.upf
Mg 24.30 Mg.upf
Bi 208.98 Bi.upf
O 16.00 O.upf
CELL_PARAMETERS angstrom
4.607 0.000 0.000
0.000 4.607 0.000
0.000 0.000 9.432
ATOMIC_POSITIONS crystal
Y 0.000 0.000 0.000
Mg 0.000 0.500 0.254
Mg 0.000 0.500 0.746
Mg 0.500 0.000 0.254
Mg 0.500 0.000 0.746
Mg 0.500 0.500 0.000
Mg 0.500 0.500 0.500
Bi 0.000 0.000 0.500
O 0.000 0.000 0.232
O 0.000 0.000 0.768
O 0.000 0.500 0.000
O 0.000 0.500 0.500
O 0.500 0.000 0.000
O 0.500 0.000 0.500
O 0.500 0.500 0.248
O 0.500 0.500 0.752
```

[11]
Density functional theory data (PBE-GGA) for MgZn2Bi4O12 after structural relaxation. Values from VASP.

Energy above the most stable polymorph in this dataset ... 175 kJ/mol of formula units
Space group ... P1
Theoretical density ... 6.7 g cm⁻³
Calculated volume ... 291.9 Å³ per cell

Geometry as Quantum ESPRESSO input:
```
&SYSTEM
  ibrav = 0, nat = 19, ntyp = 4
/
ATOMIC_SPECIES
Mg 24.30 Mg.upf
Zn 65.41 Zn.upf
Bi 208.98 Bi.upf
O 16.00 O.upf
CELL_PARAMETERS angstrom
6.144 0.000 0.000
-0.953 6.096 0.000
-0.042 -0.286 7.796
ATOMIC_POSITIONS crystal
Mg 0.000 0.000 0.000
Zn 0.234 0.247 0.311
Zn 0.614 0.603 0.698
Bi 0.091 0.708 0.425
Bi 0.150 0.586 0.909
Bi 0.577 0.182 0.934
Bi 0.709 0.117 0.425
O 0.011 0.352 0.483
O 0.144 0.528 0.192
O 0.288 0.669 0.655
O 0.292 0.921 0.981
O 0.352 0.971 0.388
O 0.466 0.489 0.922
O 0.562 0.291 0.232
O 0.586 0.271 0.645
O 0.782 0.796 0.525
O 0.864 0.730 0.873
O 0.953 0.999 0.251
O 0.957 0.272 0.899
```

[12]
Density functional theory data (PBE-GGA) for MgZn2Bi4O10 after structural relaxation. Values from VASP.

Total DFT energy (no corrections) ... -5.29 eV/atom
Space group ... Pm
Theoretical density ... 7.2 g cm⁻³
Calculated volume ... 263.7 Å³ per cell

Geometry as Quantum ESPRESSO input:
```
&SYSTEM
  ibrav = 0, nat = 17, ntyp = 4
/
ATOMIC_SPECIES
Mg 24.30 Mg.upf
Zn 65.41 Zn.upf
Bi 208.98 Bi.upf
O 16.00 O.upf
CELL_PARAMETERS angstrom
4.487 0.000 0.000
0.000 11.070 0.000
-2.177 0.000 5.309
ATOMIC_POSITIONS crystal
Mg 0.000 0.000 0.000
Zn 0.256 0.000 0.625
Zn 0.652 0.500 0.411
Bi 0.278 0.322 0.767
Bi 0.278 0.678 0.767
Bi 0.592 0.178 0.338
Bi 0.592 0.822 0.338
O 0.084 0.126 0.319
O 0.084 0.874 0.319
O 0.155 0.500 0.575
O 0.333 0.122 0.926
O 0.333 0.878 0.926
O 0.493 0.364 0.155
O 0.493 0.636 0.155
O 0.718 0.000 0.620
O 0.718 0.328 0.662
O 0.718 0.672 0.662
```